A plane-wave DFT calculation with PBE was carried out for a relaxed structure of Li4CO4.

Summary:
The calculation puts the largest piezoelectric modulus at 6.54 C/m2. The formation energy comes out at -180 kJ per mole of atoms. As for the crystal system: cubic. The theoretical density comes out at 2.4 g cm⁻³. The value obtained for the total magnetic moment is 0.00 μB per cell.

a = 4.1396 Å, b = 4.1396 Å, c = 4.1396 Å
α = 90.00°, β = 90.00°, γ = 90.00°
Fractional coordinates of all 9 atoms:
O: 0.7994 0.2006 0.2006
O: 0.7994 0.7994 0.7994
O: 0.2006 0.7994 0.2006
O: 0.2006 0.2006 0.7994
Li: 0.2809 0.2809 0.2809
Li: 0.2809 0.7191 0.7191
Li: 0.7191 0.2809 0.7191
Li: 0.7191 0.7191 0.2809
C: 0.0000 0.0000 0.0000